A relaxed structure of Li2WO4, computed with PBE with a Hubbard U.

```
Li2WO4
1.0
6.579 -2.426 6.606
-7.915 -4.890 -2.500
5.185 -0.560 -8.100
Li W O
16 8 32
Cartesian
3.447 -3.368 -2.683 Li
2.111 -1.823 -4.759 Li
2.072 -4.225 -0.262 Li
0.068 -6.338 -0.286 Li
6.617 -4.173 -3.086 Li
1.375 -3.292 -7.616 Li
2.808 -2.756 2.595 Li
-3.103 -5.533 0.117 Li
4.687 -2.748 5.417 Li
-0.520 -5.656 -5.853 Li
1.179 -1.101 -1.579 Li
-3.591 -4.876 -5.463 Li
0.193 -4.233 -3.085 Li
2.669 -6.775 -2.416 Li
-2.879 -3.453 -2.695 Li
-6.023 -4.568 -1.312 Li
4.976 -5.164 -0.543 W
5.718 -3.683 2.337 W
2.718 -4.914 -5.227 W
0.729 -5.165 2.468 W
-0.838 -3.297 -0.005 W
4.151 -1.816 -0.136 W
7.347 -2.627 -0.542 W
5.089 -2.377 -5.226 W
-1.851 -4.215 -6.145 O
6.655 -4.448 0.573 O
4.146 -3.811 0.891 O
-1.106 -5.046 1.375 O
0.733 -3.170 1.441 O
3.410 -3.093 -6.341 O
5.986 -1.935 0.957 O
4.660 -4.444 -4.465 O
6.662 -2.435 -4.275 O
8.096 -3.762 -1.779 O
3.319 -1.132 1.355 O
-2.493 -3.691 -0.702 O
2.191 -4.591 3.424 O
1.338 -5.036 -6.436 O
4.658 -2.601 3.379 O
6.118 -5.795 -1.838 O
3.403 -5.106 -1.493 O
1.968 -3.779 -3.990 O
1.561 -5.849 0.977 O
7.373 -3.290 3.034 O
2.689 -2.390 -1.092 O
8.726 -2.504 0.668 O
0.222 -4.380 -1.047 O
3.947 -1.746 -3.930 O
2.586 -6.500 -4.377 O
0.296 -6.674 3.355 O
-0.520 -1.680 -0.738 O
-3.331 -5.196 -3.524 O
-0.436 -5.931 -3.891 O
5.336 -0.899 -6.229 O
5.404 -3.097 -1.304 O
-1.179 -2.874 -3.536 O
```

Output
Its space group is No. 141. As for the size of the total moment: 0.0 μB per formula unit. The distance to the lowest polymorph of the same formula is 0.005 eV/atom.



A relaxed structure of LiYW2O8, computed with PBE with a Hubbard U.

```
LiYW2O8
1.0
-4.977 2.201 -2.387
-0.522 -4.225 -2.808
-5.878 -7.928 4.944
Li Y W O
2 2 4 16
Cartesian
-5.919 -7.505 1.704 Li
-5.457 -2.446 -1.956 Li
-7.785 -4.452 2.088 Y
-3.070 -1.274 0.468 Y
-4.000 -4.682 1.461 W
-7.377 -5.269 -1.712 W
-7.062 -10.672 2.320 W
-4.315 0.721 -2.572 W
-7.113 -6.778 -0.713 O
-4.264 -3.173 0.462 O
-8.478 -6.573 2.322 O
-2.898 -3.378 -2.573 O
-5.691 -5.374 1.510 O
-5.685 -4.577 -1.762 O
-7.280 -9.135 1.355 O
-4.096 -0.816 -1.606 O
-4.455 -8.244 0.445 O
-6.922 -1.707 -0.696 O
-5.719 -7.504 3.762 O
-5.658 -2.448 -4.014 O
-8.113 -4.256 -0.156 O
-3.264 -5.695 -0.096 O
-10.070 -7.948 0.521 O
-1.306 -2.003 -0.772 O
```

Output
Its space group is No. 13. As for the size of the total moment: 0.0 μB per formula unit.



A relaxed structure of Li2Zn2W2O9, computed with PBE with a Hubbard U.

```
Li2Zn2W2O9
1.0
2.612 -4.524 0.000
2.612 4.524 0.000
0.000 0.000 14.422
Li Zn W O
4 4 4 18
Cartesian
2.612 1.508 7.479 Li
2.612 -1.508 6.943 Li
2.612 -1.508 14.154 Li
2.612 1.508 0.268 Li
2.612 1.508 11.640 Zn
2.612 -1.508 2.783 Zn
2.612 -1.508 9.994 Zn
2.612 1.508 4.429 Zn
0.000 0.000 9.248 W
0.000 0.000 5.175 W
0.000 0.000 12.386 W
0.000 0.000 2.037 W
0.736 -1.275 10.817 O
1.876 -3.250 3.606 O
0.736 1.275 10.817 O
1.876 3.250 3.606 O
3.752 0.000 10.817 O
1.472 0.000 3.606 O
1.662 -0.115 8.481 O
3.562 0.115 5.942 O
1.881 -3.027 8.481 O
1.662 0.115 13.153 O
3.343 3.027 5.942 O
3.562 -0.115 1.270 O
4.293 -1.381 8.481 O
1.881 3.027 13.153 O
0.931 1.381 5.942 O
3.343 -3.027 1.270 O
4.293 1.381 13.153 O
0.931 -1.381 1.270 O
```

Output
Its space group is No. 165. As for the size of the total moment: 0.0 μB per formula unit.



A relaxed structure of Lu2MgV2O8, computed with PBE with a Hubbard U.

```
Lu2MgV2O8
1.0
0.715 -5.467 -1.984
2.083 1.040 5.737
-5.770 0.938 0.410
Lu Mg V O
2 1 2 8
Cartesian
0.305 0.379 5.200 Lu
-3.421 -3.997 -1.082 Lu
-2.732 -2.861 1.693 Mg
-2.781 -0.504 3.326 V
0.024 -2.792 0.904 V
-0.547 -3.406 2.627 O
-1.168 -0.765 3.994 O
-3.290 -2.324 3.492 O
-4.501 -2.931 0.676 O
-1.666 -2.941 0.053 O
-2.825 -0.442 1.412 O
-3.940 0.650 3.991 O
0.082 -1.034 0.756 O
```

Output
Its space group is No. 5. As for the size of the total moment: 2.0 μB per formula unit.



| no. | energy of formation (kJ/mol of atoms) |
| --- | --- |
| 1 | -226.5 |
| 2 | -256.4 |
| 3 | -204.8 |
| 4 | -298.3 |